#A
VASP calculation (PBE) on a relaxed Na2S2O5 crystal.

Calculated values
Its total moment is 0.00 μB per formula unit.

Cell lengths 9.316, 5.520, 23.228 Å; angles 90.00, 107.93, 90.00 degrees
Space group P2_1/c (No. 14)
Unique sites:
1 Na 0.079 0.225 0.069 x4
2 Na 0.154 0.231 0.734 x4
3 Na 0.344 0.682 0.515 x4
4 Na 0.417 0.733 0.684 x4
5 S 0.024 0.733 0.149 x4
6 S 0.180 0.201 0.439 x4
7 S 0.324 0.739 0.810 x4
8 S 0.468 0.223 0.603 x4
9 O 0.020 0.138 0.298 x4
10 O 0.060 0.504 0.655 x4
11 O 0.135 0.104 0.976 x4
12 O 0.148 0.585 0.140 x4
13 O 0.149 0.546 0.960 x4
14 O 0.349 0.124 0.116 x4
15 O 0.355 0.519 0.286 x4
16 O 0.364 0.537 0.774 x4
17 O 0.426 0.537 0.094 x4
18 O 0.488 0.676 0.449 x4



#B
VASP calculation (PBE) on a relaxed Na2S2O5 crystal.

Calculated values
Its total moment is 0.33 μB per formula unit.

Cell lengths 5.659, 6.189, 26.144 Å; angles 89.68, 86.93, 89.22 degrees
Space group P1 (No. 1)
Unique sites:
1 Na 0.000 0.000 0.000 x1
2 Na 0.005 0.681 0.322 x1
3 Na 0.429 0.186 0.546 x1
4 Na 0.445 0.897 0.880 x1
5 Na 0.469 0.544 0.221 x1
6 Na 0.479 0.399 0.799 x1
7 Na 0.494 0.725 0.449 x1
8 Na 0.519 0.090 0.131 x1
9 Na 0.935 0.096 0.424 x1
10 Na 0.954 0.782 0.765 x1
11 Na 0.974 0.440 0.096 x1
12 Na 0.982 0.331 0.670 x1
13 S 0.472 0.641 0.685 x1
14 S 0.477 0.993 0.338 x1
15 S 0.490 0.026 0.705 x1
16 S 0.492 0.316 0.016 x1
17 S 0.510 0.698 0.039 x1
18 S 0.544 0.364 0.335 x1
19 S 0.899 0.506 0.536 x1
20 S 0.945 0.909 0.535 x1
21 S 0.958 0.213 0.867 x1
22 S 0.961 0.588 0.873 x1
23 S 0.962 0.860 0.186 x1
24 S 0.993 0.242 0.202 x1
25 O 0.053 0.450 0.407 x1
26 O 0.066 0.762 0.233 x1
27 O 0.156 0.495 0.448 x1
28 O 0.171 0.948 0.502 x1
29 O 0.178 0.150 0.836 x1
30 O 0.180 0.637 0.840 x1
31 O 0.212 0.296 0.166 x1
32 O 0.242 0.584 0.714 x1
33 O 0.242 0.969 0.368 x1
34 O 0.258 0.255 0.042 x1
35 O 0.287 0.116 0.629 x1
36 O 0.313 0.782 0.962 x1
37 O 0.347 0.472 0.309 x1
38 O 0.531 0.133 0.648 x1
39 O 0.553 0.809 0.982 x1
40 O 0.571 0.438 0.388 x1
41 O 0.661 0.487 0.513 x1
42 O 0.674 0.928 0.373 x1
43 O 0.678 0.570 0.717 x1
44 O 0.693 0.239 0.048 x1
45 O 0.695 0.840 0.187 x1
46 O 0.727 0.046 0.728 x1
47 O 0.732 0.964 0.503 x1
48 O 0.740 0.158 0.840 x1
49 O 0.744 0.642 0.844 x1
50 O 0.745 0.716 0.063 x1
51 O 0.767 0.380 0.303 x1
52 O 0.774 0.320 0.174 x1
53 O 0.887 0.449 0.591 x1
54 O 0.954 0.126 0.919 x1



Most stable structure: #A



#A
VASP calculation (PBE) on a relaxed Na2SO3 crystal.

Calculated values
Its total moment is 0.00 μB per formula unit.

Cell lengths 5.912, 9.488, 7.144 Å; angles 90.00, 90.00, 90.00 degrees
Space group C222_1 (No. 20)
Unique sites:
1 Na 0.000 0.171 0.250 x4
2 Na 0.051 0.500 0.000 x4
3 S 0.000 0.192 0.750 x4
4 O 0.000 0.354 0.750 x4
5 O 0.230 0.177 0.624 x8



#B
VASP calculation (PBE) on a relaxed Na2SO3 crystal.

Calculated values
Its total moment is 0.00 μB per formula unit.

Cell lengths 5.5228, 5.5228, 6.1993 Å; angles 90.00, 90.00, 120.00 degrees
Space group P-3 (No. 147)
Unique sites:
1 Na 0.0000 0.0000 0.0000 x1
2 Na 0.0000 0.0000 0.5000 x1
3 Na 0.3333 0.6667 0.1659 x2
4 S 0.3333 0.6667 0.6649 x2
5 O 0.1208 0.3823 0.7652 x6



Most stable structure: #B



#A
VASP calculation (PBE) on a relaxed Na2S2O3 crystal.

Calculated values
Its total moment is 0.00 μB per formula unit.

Cell lengths 8.621, 8.242, 6.522 Å; angles 90.00, 97.34, 90.00 degrees
Space group P2_1/c (No. 14)
Unique sites:
1 Na 0.046 0.198 0.124 x4
2 Na 0.414 0.621 0.708 x4
3 S 0.234 0.548 0.208 x4
4 S 0.287 0.103 0.483 x4
5 O 0.122 0.036 0.828 x4
6 O 0.162 0.702 0.120 x4
7 O 0.384 0.588 0.340 x4



#B
VASP calculation (PBE) on a relaxed Na2S2O3 crystal.

Calculated values
Its total moment is 1.04 μB per formula unit.

Cell lengths 7.715, 7.818, 9.460 Å; angles 85.37, 83.10, 64.00 degrees
Space group P1 (No. 1)
Unique sites:
1 Na 0.000 0.000 0.000 x1
2 Na 0.026 0.960 0.433 x1
3 Na 0.393 0.642 0.838 x1
4 Na 0.458 0.622 0.454 x1
5 Na 0.653 0.722 0.076 x1
6 Na 0.953 0.579 0.418 x1
7 S 0.039 0.647 0.840 x1
8 S 0.132 0.637 0.634 x1
9 S 0.206 0.640 0.158 x1
10 S 0.735 0.344 0.898 x1
11 S 0.803 0.317 0.535 x1
12 S 0.930 0.284 0.721 x1
13 O 0.214 0.662 0.319 x1
14 O 0.302 0.762 0.074 x1
15 O 0.319 0.977 0.343 x1
16 O 0.395 0.084 0.372 x1
17 O 0.405 0.914 0.686 x1
18 O 0.578 0.805 0.719 x1
19 O 0.644 0.759 0.325 x1
20 O 0.654 0.915 0.358 x1
21 O 0.987 0.750 0.140 x1



Most stable structure: #A



#A
VASP calculation (PBE) on a relaxed NaSbO12 crystal.

Calculated values
Its total moment is 4.00 μB per formula unit.

Cell lengths 12.684, 12.684, 12.684 Å; angles 90.00, 90.00, 90.00 degrees
Space group Fd-3m (No. 227, origin choice 2)
Unique sites:
1 Na 0.125 0.125 0.125 x8
2 Sb 0.125 0.125 0.625 x8
3 O 0.011 0.011 0.824 x96



#B
VASP calculation (PBE) on a relaxed NaSbO12 crystal.

Calculated values
Its total moment is 6.00 μB per formula unit.

Cell lengths 9.402, 9.402, 6.711 Å; angles 90.00, 90.00, 90.00 degrees
Space group P4_2/n (No. 86, origin choice 2)
Unique sites:
1 Na 0.250 0.250 0.250 x2
2 Sb 0.250 0.250 0.750 x2
3 O 0.061 0.663 0.698 x8
4 O 0.117 0.198 0.953 x8
5 O 0.124 0.836 0.101 x8



Most stable structure: #B



#A
VASP calculation (PBE) on a relaxed Na2Sb4O11 crystal.

Calculated values
Its total moment is 0.00 μB per formula unit.

Cell lengths 6.3212, 6.3212, 36.0706 Å; angles 90.00, 90.00, 120.00 degrees
Space group R-3c (No. 167, hexagonal axes)
Unique sites:
1 Na 0.0000 0.0000 0.1680 x12
2 Sb 0.0000 0.0000 0.0000 x6
3 Sb 0.0000 0.3598 0.2500 x18
4 O 0.0000 0.0000 0.0943 x12
5 O 0.0000 0.2572 0.7500 x18
6 O 0.0207 0.2865 0.5292 x36



#B
VASP calculation (PBE) on a relaxed Na2Sb4O11 crystal.

Calculated values
Its total moment is 0.00 μB per formula unit.

Cell lengths 19.750, 7.645, 7.268 Å; angles 90.00, 95.32, 90.00 degrees
Space group C2 (No. 5)
Unique sites:
1 Na 0.026 0.000 0.281 x4
2 Na 0.236 0.486 0.063 x4
3 Sb 0.070 0.485 0.093 x4
4 Sb 0.074 0.485 0.614 x4
5 Sb 0.172 0.744 0.431 x4
6 Sb 0.173 0.227 0.432 x4
7 O 0.000 0.310 0.000 x2
8 O 0.000 0.659 0.000 x2
9 O 0.022 0.485 0.340 x4
10 O 0.085 0.228 0.562 x4
11 O 0.085 0.742 0.562 x4
12 O 0.118 0.484 0.865 x4
13 O 0.129 0.290 0.182 x4
14 O 0.131 0.677 0.181 x4
15 O 0.153 0.985 0.348 x4
16 O 0.166 0.485 0.509 x4
17 O 0.234 0.779 0.664 x4
18 O 0.235 0.191 0.664 x4



#C
VASP calculation (PBE) on a relaxed Na2Sb4O11 crystal.

Calculated values
Its total moment is 0.00 μB per formula unit.

Cell lengths 19.819, 7.642, 7.280 Å; angles 90.00, 95.54, 90.00 degrees
Space group C2/m (No. 12)
Unique sites:
1 Na 0.031 0.000 0.281 x4
2 Na 0.235 0.500 0.076 x4
3 Sb 0.071 0.500 0.097 x4
4 Sb 0.076 0.500 0.617 x4
5 Sb 0.174 0.242 0.436 x8
6 O 0.000 0.326 0.000 x4
7 O 0.023 0.500 0.344 x4
8 O 0.087 0.244 0.565 x8
9 O 0.119 0.500 0.869 x4
10 O 0.132 0.307 0.186 x8
11 O 0.154 0.000 0.353 x4
12 O 0.167 0.500 0.515 x4
13 O 0.237 0.206 0.667 x8



Most stable structure: #A